# 1
# r²SCAN Ga5Ni, optimized geometry
data_Ga5Ni
_cell_length_a 6.281
_cell_length_b 6.281
_cell_length_c 9.578
_cell_angle_alpha 90.00
_cell_angle_beta 90.00
_cell_angle_gamma 90.00
_symmetry_space_group_name_H-M 'I 4/m c m'
_symmetry_Int_Tables_number 140
_symmetry_space_group_name_Hall '-I 4 2c'
loop_
_atom_site_label
_atom_site_type_symbol
_atom_site_fract_x
_atom_site_fract_y
_atom_site_fract_z
Ga1 Ga 0.000 0.000 0.000
Ga2 Ga 0.150 0.350 0.143
Ni1 Ni 0.000 0.000 0.250
# electronic total energy	-11.688	eV per atom



# 2
# r²SCAN SiTePt, optimized geometry
data_SiTePt
_cell_length_a 6.185
_cell_length_b 6.283
_cell_length_c 12.560
_cell_angle_alpha 90.00
_cell_angle_beta 90.00
_cell_angle_gamma 90.00
_symmetry_space_group_name_H-M 'P b c a'
_symmetry_Int_Tables_number 61
_symmetry_space_group_name_Hall '-P 2ac 2ab'
loop_
_atom_site_label
_atom_site_type_symbol
_atom_site_fract_x
_atom_site_fract_y
_atom_site_fract_z
Si1 Si 0.128 0.167 0.061
Te1 Te 0.117 0.584 0.826
Pt1 Pt 0.025 0.687 0.614
# electronic total energy	-29.155	eV per atom



# 3
# r²SCAN PrTlMo2O8, optimized geometry
data_PrTlMo2O8
_cell_length_a 5.197
_cell_length_b 18.563
_cell_length_c 8.281
_cell_angle_alpha 90.00
_cell_angle_beta 90.00
_cell_angle_gamma 90.00
_symmetry_space_group_name_H-M 'P b c n'
_symmetry_Int_Tables_number 60
_symmetry_space_group_name_Hall '-P 2n 2ab'
loop_
_atom_site_label
_atom_site_type_symbol
_atom_site_fract_x
_atom_site_fract_y
_atom_site_fract_z
Pr1 Pr 0.000 0.008 0.250
Tl1 Tl 0.000 0.232 0.750
Mo1 Mo 0.017 0.396 0.020
O1 O 0.110 0.311 0.471
O2 O 0.215 0.398 0.847
O3 O 0.234 0.407 0.186
O4 O 0.245 0.462 0.501
# electronic total energy	-17.660	eV per atom



# 4
# r²SCAN Te16Rh9, optimized geometry
data_Te16Rh9
_cell_length_a 8.798
_cell_length_b 7.925
_cell_length_c 8.817
_cell_angle_alpha 90.00
_cell_angle_beta 102.37
_cell_angle_gamma 90.00
_symmetry_space_group_name_H-M 'P 1 2/m 1'
_symmetry_Int_Tables_number 10
_symmetry_space_group_name_Hall '-P 2y'
loop_
_atom_site_label
_atom_site_type_symbol
_atom_site_fract_x
_atom_site_fract_y
_atom_site_fract_z
Te1 Te 0.035 0.000 0.201
Te2 Te 0.044 0.500 0.209
Te3 Te 0.216 0.250 0.550
Te4 Te 0.293 0.255 0.962
Te5 Te 0.451 0.000 0.290
Te6 Te 0.463 0.500 0.296
Rh1 Rh 0.000 0.000 0.500
Rh2 Rh 0.000 0.257 0.000
Rh3 Rh 0.245 0.500 0.754
Rh4 Rh 0.263 0.000 0.763
Rh5 Rh 0.500 0.242 0.500
# electronic total energy	-25.402	eV per atom



# 5
# r²SCAN Pr2TiO5, optimized geometry
data_Pr2TiO5
_cell_length_a 10.868
_cell_length_b 3.875
_cell_length_c 11.499
_cell_angle_alpha 90.00
_cell_angle_beta 90.00
_cell_angle_gamma 90.00
_symmetry_space_group_name_H-M 'P n m a'
_symmetry_Int_Tables_number 62
_symmetry_space_group_name_Hall '-P 2ac 2n'
loop_
_atom_site_label
_atom_site_type_symbol
_atom_site_fract_x
_atom_site_fract_y
_atom_site_fract_z
Pr1 Pr 0.102 0.250 0.218
Pr2 Pr 0.137 0.250 0.557
Ti1 Ti 0.187 0.250 0.874
O1 O 0.009 0.750 0.603
O2 O 0.027 0.250 0.838
O3 O 0.223 0.250 0.035
O4 O 0.229 0.750 0.229
O5 O 0.237 0.750 0.877
# electronic total energy	-16.317	eV per atom



# 6
# r²SCAN SrEu3, optimized geometry
data_SrEu3
_cell_length_a 5.680
_cell_length_b 5.680
_cell_length_c 11.712
_cell_angle_alpha 90.00
_cell_angle_beta 90.00
_cell_angle_gamma 90.00
_symmetry_space_group_name_H-M 'I 4/m m m'
_symmetry_Int_Tables_number 139
_symmetry_space_group_name_Hall '-I 4 2'
loop_
_atom_site_label
_atom_site_type_symbol
_atom_site_fract_x
_atom_site_fract_y
_atom_site_fract_z
Sr1 Sr 0.000 0.000 0.000
Eu1 Eu 0.000 0.000 0.500
Eu2 Eu 0.000 0.500 0.250
# electronic total energy	-32.601	eV per atom



# 7
# r²SCAN Pr3Ag4Ge4, optimized geometry
data_Pr3Ag4Ge4
_cell_length_a 4.467
_cell_length_b 7.151
_cell_length_c 14.863
_cell_angle_alpha 90.00
_cell_angle_beta 90.00
_cell_angle_gamma 90.00
_symmetry_space_group_name_H-M 'I m m m'
_symmetry_Int_Tables_number 71
_symmetry_space_group_name_Hall '-I 2 2'
loop_
_atom_site_label
_atom_site_type_symbol
_atom_site_fract_x
_atom_site_fract_y
_atom_site_fract_z
Pr1 Pr 0.000 0.000 0.000
Pr2 Pr 0.000 0.500 0.129
Ag1 Ag 0.000 0.306 0.333
Ge1 Ge 0.000 0.000 0.217
Ge2 Ge 0.000 0.180 0.500
# electronic total energy	-21.434	eV per atom



# 8
# r²SCAN SmMgAu, optimized geometry
data_SmMgAu
_cell_length_a 7.6774
_cell_length_b 7.6774
_cell_length_c 4.1341
_cell_angle_alpha 90.00
_cell_angle_beta 90.00
_cell_angle_gamma 120.00
_symmetry_space_group_name_H-M 'P -6 2 m'
_symmetry_Int_Tables_number 189
_symmetry_space_group_name_Hall 'P -6 -2'
loop_
_atom_site_label
_atom_site_type_symbol
_atom_site_fract_x
_atom_site_fract_y
_atom_site_fract_z
Sm1 Sm 0.0000 0.5863 0.0000
Mg1 Mg 0.0000 0.2426 0.5000
Au1 Au 0.0000 0.0000 0.0000
Au2 Au 0.3333 0.6667 0.5000
# electronic total energy	-28.889	eV per atom



# 9
# r²SCAN TaCrP, optimized geometry
data_TaCrP
_cell_length_a 6.248
_cell_length_b 3.514
_cell_length_c 7.361
_cell_angle_alpha 90.00
_cell_angle_beta 90.00
_cell_angle_gamma 90.00
_symmetry_space_group_name_H-M 'P n m a'
_symmetry_Int_Tables_number 62
_symmetry_space_group_name_Hall '-P 2ac 2n'
loop_
_atom_site_label
_atom_site_type_symbol
_atom_site_fract_x
_atom_site_fract_y
_atom_site_fract_z
Ta1 Ta 0.030 0.250 0.172
Cr1 Cr 0.144 0.250 0.561
P1 P 0.231 0.750 0.368
# electronic total energy	-24.882	eV per atom



# 10
# r²SCAN Dy2Pt, optimized geometry
data_Dy2Pt
_cell_length_a 7.111
_cell_length_b 4.761
_cell_length_c 8.765
_cell_angle_alpha 90.00
_cell_angle_beta 90.00
_cell_angle_gamma 90.00
_symmetry_space_group_name_H-M 'P n m a'
_symmetry_Int_Tables_number 62
_symmetry_space_group_name_Hall '-P 2ac 2n'
loop_
_atom_site_label
_atom_site_type_symbol
_atom_site_fract_x
_atom_site_fract_y
_atom_site_fract_z
Dy1 Dy 0.008 0.250 0.167
Dy2 Dy 0.143 0.250 0.582
Pt1 Pt 0.241 0.250 0.909
# electronic total energy	-39.539	eV per atom



# 11
# r²SCAN Ho2Te5O13, optimized geometry
data_Ho2Te5O13
_cell_length_a 6.930
_cell_length_b 8.633
_cell_length_c 10.553
_cell_angle_alpha 88.81
_cell_angle_beta 86.85
_cell_angle_gamma 74.90
_symmetry_space_group_name_H-M 'P -1'
_symmetry_Int_Tables_number 2
_symmetry_space_group_name_Hall '-P 1'
loop_
_atom_site_label
_atom_site_type_symbol
_atom_site_fract_x
_atom_site_fract_y
_atom_site_fract_z
Ho1 Ho 0.001 0.261 0.262
Ho2 Ho 0.448 0.472 0.321
Te1 Te 0.124 0.350 0.606
Te2 Te 0.155 0.804 0.140
Te3 Te 0.273 0.396 0.985
Te4 Te 0.292 0.879 0.473
Te5 Te 0.437 0.902 0.802
O1 O 0.045 0.351 0.065
O2 O 0.061 0.015 0.194
O3 O 0.062 0.270 0.778
O4 O 0.062 0.819 0.536
O5 O 0.124 0.491 0.396
O6 O 0.234 0.497 0.684
O7 O 0.314 0.734 0.789
O8 O 0.329 0.225 0.277
O9 O 0.329 0.740 0.272
O10 O 0.335 0.514 0.117
O11 O 0.345 0.981 0.625
O12 O 0.458 0.195 0.020
O13 O 0.467 0.672 0.498
# electronic total energy	-15.431	eV per atom



# 12
# r²SCAN HfS3, optimized geometry
data_HfS3
_cell_length_a 5.134
_cell_length_b 3.599
_cell_length_c 9.169
_cell_angle_alpha 90.00
_cell_angle_beta 97.56
_cell_angle_gamma 90.00
_symmetry_space_group_name_H-M 'P 1 21/m 1'
_symmetry_Int_Tables_number 11
_symmetry_space_group_name_Hall '-P 2yb'
loop_
_atom_site_label
_atom_site_type_symbol
_atom_site_fract_x
_atom_site_fract_y
_atom_site_fract_z
Hf1 Hf 0.214 0.250 0.349
S1 S 0.027 0.250 0.822
S2 S 0.262 0.750 0.552
S3 S 0.376 0.750 0.178
# electronic total energy	-18.687	eV per atom



# 13
# r²SCAN Lu2ZnPt, optimized geometry
data_Lu2ZnPt
_cell_length_a 6.839
_cell_length_b 6.839
_cell_length_c 6.839
_cell_angle_alpha 90.00
_cell_angle_beta 90.00
_cell_angle_gamma 90.00
_symmetry_space_group_name_H-M 'F m -3 m'
_symmetry_Int_Tables_number 225
_symmetry_space_group_name_Hall '-F 4 2 3'
loop_
_atom_site_label
_atom_site_type_symbol
_atom_site_fract_x
_atom_site_fract_y
_atom_site_fract_z
Lu1 Lu 0.250 0.250 0.250
Zn1 Zn 0.000 0.000 0.000
Pt1 Pt 0.000 0.000 0.500
# electronic total energy	-35.083	eV per atom



# 14
# r²SCAN KMgSb, optimized geometry
data_KMgSb
_cell_length_a 4.826
_cell_length_b 4.826
_cell_length_c 8.230
_cell_angle_alpha 90.00
_cell_angle_beta 90.00
_cell_angle_gamma 90.00
_symmetry_space_group_name_H-M 'P 4/n m m'
_symmetry_Int_Tables_number 129
loop_
_symmetry_equiv_pos_as_xyz
'x,y,z'
'-x,-y,-z'
'-y+1/2,x,z'
'y+1/2,-x,-z'
'-x+1/2,-y+1/2,z'
'x+1/2,y+1/2,-z'
'y,-x+1/2,z'
'-y,x+1/2,-z'
'x+1/2,-y,-z'
'-x+1/2,y,z'
'-y,-x,-z'
'y,x,z'
'-x,y+1/2,-z'
'x,-y+1/2,z'
'y+1/2,x+1/2,-z'
'-y+1/2,-x+1/2,z'
loop_
_atom_site_label
_atom_site_type_symbol
_atom_site_fract_x
_atom_site_fract_y
_atom_site_fract_z
K1 K 0.250 0.250 0.149
Mg1 Mg 0.250 0.750 0.500
Sb1 Sb 0.250 0.250 0.700
# electronic total energy	-12.700	eV per atom



# 15
# r²SCAN Mg4Sb2O9, optimized geometry
data_Mg4Sb2O9
_cell_length_a 5.179
_cell_length_b 5.563
_cell_length_c 11.707
_cell_angle_alpha 98.16
_cell_angle_beta 102.74
_cell_angle_gamma 90.74
_symmetry_space_group_name_H-M 'P -1'
_symmetry_Int_Tables_number 2
_symmetry_space_group_name_Hall '-P 1'
loop_
_atom_site_label
_atom_site_type_symbol
_atom_site_fract_x
_atom_site_fract_y
_atom_site_fract_z
Mg1 Mg 0.037 0.344 0.097
Mg2 Mg 0.117 0.830 0.230
Mg3 Mg 0.275 0.016 0.580
Mg4 Mg 0.388 0.670 0.767
Sb1 Sb 0.214 0.531 0.427
Sb2 Sb 0.443 0.150 0.894
O1 O 0.075 0.849 0.404
O2 O 0.127 0.919 0.834
O3 O 0.140 0.635 0.596
O4 O 0.208 0.681 0.067
O5 O 0.225 0.406 0.834
O6 O 0.280 0.477 0.272
O7 O 0.378 0.172 0.058
O8 O 0.436 0.271 0.498
O9 O 0.483 0.983 0.263
# electronic total energy	-10.520	eV per atom



# 16
# r²SCAN AgPb4ClO4, optimized geometry
data_AgPb4ClO4
_cell_length_a 8.274
_cell_length_b 8.274
_cell_length_c 6.391
_cell_angle_alpha 90.00
_cell_angle_beta 90.00
_cell_angle_gamma 90.00
_symmetry_space_group_name_H-M 'P 4/n'
_symmetry_Int_Tables_number 85
loop_
_symmetry_equiv_pos_as_xyz
'x,y,z'
'-x,-y,-z'
'-y+1/2,x,z'
'y+1/2,-x,-z'
'-x+1/2,-y+1/2,z'
'x+1/2,y+1/2,-z'
'y,-x+1/2,z'
'-y,x+1/2,-z'
loop_
_atom_site_label
_atom_site_type_symbol
_atom_site_fract_x
_atom_site_fract_y
_atom_site_fract_z
Ag1 Ag 0.250 0.250 0.096
Pb1 Pb 0.058 0.605 0.229
Cl1 Cl 0.250 0.250 0.494
O1 O 0.003 0.840 0.074
# electronic total energy	-28.786	eV per atom